{
  "formula": "Th3Pb",
  "functional": "meta-GGA r2SCAN",
  "state": "relaxed",
  "sg": "No. 221",
  "formation_enthalpy_0k_kcal_per_mol_atoms": -5.192,
  "crystal_system": "cubic",
  "magmom_total_mub_per_cell": 0.3,
  "e_tot_ev_per_cell": -277.61,
  "cell": [[4.9845, 0.0000, 0.0000], [0.0000, 4.9845, 0.0000], [0.0000, 0.0000, 4.9845]],
  "species": ["Th", "Th", "Th", "Pb"],
  "frac_coords": [[0.0000, 0.0000, 0.5000], [0.0000, 0.5000, 0.0000], [0.5000, 0.0000, 0.0000], [0.5000, 0.5000, 0.5000]]
}

{
  "formula": "GaPO4",
  "functional": "meta-GGA r2SCAN",
  "state": "relaxed",
  "sg": "No. 82",
  "formation_enthalpy_0k_kcal_per_mol_atoms": -53.528,
  "crystal_system": "tetragonal",
  "magmom_total_mub_per_cell": 0.0,
  "e_tot_ev_per_cell": -58.26,
  "cell": [[-2.4494, 2.4494, 3.7075], [2.4494, -2.4494, 3.7075], [2.4494, 2.4494, -3.7075]],
  "species": ["Ga", "P", "O", "O", "O", "O"],
  "frac_coords": [[0.0000, 0.0000, 0.0000], [0.2500, 0.7500, 0.5000], [0.1450, 0.0024, 0.4173], [0.2724, 0.8550, 0.8575], [0.5851, 0.7276, 0.5827], [0.9976, 0.4149, 0.1425]]
}

{
  "formula": "Tm2Pd2Pb",
  "functional": "meta-GGA r2SCAN",
  "state": "relaxed",
  "sg": "No. 127",
  "formation_enthalpy_0k_kcal_per_mol_atoms": -21.200,
  "crystal_system": "tetragonal",
  "magmom_total_mub_per_cell": 0.0,
  "e_tot_ev_per_cell": -354.09,
  "cell": [[7.7652, 0.0000, 0.0000], [0.0000, 7.7652, 0.0000], [0.0000, 0.0000, 3.5723]],
  "species": ["Tm", "Tm", "Tm", "Tm", "Pd", "Pd", "Pd", "Pd", "Pb", "Pb"],
  "frac_coords": [[0.1702, 0.3298, 0.0000], [0.3298, 0.8298, 0.0000], [0.6702, 0.1702, 0.0000], [0.8298, 0.6702, 0.0000], [0.1259, 0.6259, 0.5000], [0.3741, 0.1259, 0.5000], [0.6259, 0.8741, 0.5000], [0.8741, 0.3741, 0.5000], [0.0000, 0.0000, 0.5000], [0.5000, 0.5000, 0.5000]]
}

{
  "formula": "Cd3Ag",
  "functional": "meta-GGA r2SCAN",
  "state": "relaxed",
  "sg": "No. 187",
  "formation_enthalpy_0k_kcal_per_mol_atoms": -0.481,
  "crystal_system": "hexagonal",
  "magmom_total_mub_per_cell": 0.0,
  "e_tot_ev_per_cell": -81.75,
  "cell": [[3.1050, 0.0000, 0.0000], [-1.5525, 2.6890, 0.0000], [0.0000, 0.0000, 9.6463]],
  "species": ["Cd", "Cd", "Cd", "Ag"],
  "frac_coords": [[0.0000, 0.0000, 0.0000], [0.6667, 0.3333, 0.2622], [0.6667, 0.3333, 0.7378], [0.0000, 0.0000, 0.5000]]
}

{
  "formula": "NdPO4",
  "functional": "meta-GGA r2SCAN",
  "state": "relaxed",
  "sg": "No. 14",
  "formation_enthalpy_0k_kcal_per_mol_atoms": -75.928,
  "crystal_system": "monoclinic",
  "magmom_total_mub_per_cell": 0.0,
  "e_tot_ev_per_cell": -328.26,
  "cell": [[6.4077, 0.0000, 0.0000], [0.0000, 6.9698, 0.0000], [-4.8161, 0.0000, 6.5627]],
  "species": ["Nd", "Nd", "Nd", "Nd", "P", "P", "P", "P", "O", "O", "O", "O", "O", "O", "O", "O", "O", "O", "O", "O", "O", "O", "O", "O"],
  "frac_coords": [[0.1824, 0.1573, 0.2818], [0.1824, 0.3427, 0.7818], [0.8176, 0.6573, 0.2182], [0.8176, 0.8427, 0.7182], [0.3098, 0.6622, 0.1969], [0.3098, 0.8378, 0.6969], [0.6902, 0.1621, 0.3031], [0.6902, 0.3378, 0.8031], [0.1180, 0.6675, 0.6187], [0.1180, 0.8325, 0.1187], [0.1919, 0.5048, 0.2504], [0.1919, 0.9952, 0.7504], [0.3355, 0.6047, 0.0274], [0.3355, 0.8953, 0.5274], [0.4133, 0.2122, 0.1247], [0.4133, 0.2878, 0.6247], [0.5867, 0.7122, 0.3753], [0.5867, 0.7878, 0.8753], [0.6645, 0.1047, 0.4726], [0.6645, 0.3953, 0.9726], [0.8081, 0.0048, 0.2496], [0.8081, 0.4952, 0.7496], [0.8820, 0.1675, 0.8813], [0.8820, 0.3325, 0.3813]]
}

{
  "formula": "NaNdSiO4",
  "functional": "meta-GGA r2SCAN",
  "state": "relaxed",
  "sg": "No. 33",
  "formation_enthalpy_0k_kcal_per_mol_atoms": -73.228,
  "crystal_system": "orthorhombic",
  "magmom_total_mub_per_cell": 0.0,
  "e_tot_ev_per_cell": -1054.49,
  "cell": [[20.8729, 0.0000, 0.0000], [0.0000, 9.3021, 0.0000], [0.0000, 0.0000, 5.4924]],
  "species": ["Na", "Na", "Na", "Na", "Na", "Na", "Na", "Na", "Na", "Na", "Na", "Na", "Nd", "Nd", "Nd", "Nd", "Nd", "Nd", "Nd", "Nd", "Nd", "Nd", "Nd", "Nd", "Si", "Si", "Si", "Si", "Si", "Si", "Si", "Si", "Si", "Si", "Si", "Si", "O", "O", "O", "O", "O", "O", "O", "O", "O", "O", "O", "O", "O", "O", "O", "O", "O", "O", "O", "O", "O", "O", "O", "O", "O", "O", "O", "O", "O", "O", "O", "O", "O", "O", "O", "O", "O", "O", "O", "O", "O", "O", "O", "O", "O", "O", "O", "O"],
  "frac_coords": [[0.0552, 0.0670, 0.0000], [0.1093, 0.5721, 0.5460], [0.2228, 0.4258, 0.0608], [0.2772, 0.9258, 0.5608], [0.3907, 0.0721, 0.0460], [0.4448, 0.5670, 0.5000], [0.5552, 0.4330, 0.0000], [0.6093, 0.9279, 0.5460], [0.7228, 0.0741, 0.0608], [0.7772, 0.5742, 0.5608], [0.8907, 0.4279, 0.0460], [0.9448, 0.9330, 0.5000], [0.9998, 0.3038, 0.5053], [0.0002, 0.6962, 0.0053], [0.1665, 0.1963, 0.5707], [0.1672, 0.8012, 0.0526], [0.3328, 0.3012, 0.5526], [0.3335, 0.6963, 0.0707], [0.4998, 0.1962, 0.5053], [0.5002, 0.8038, 0.0053], [0.6665, 0.3037, 0.5707], [0.6672, 0.6988, 0.0526], [0.8328, 0.1988, 0.5526], [0.8335, 0.8037, 0.0707], [0.0769, 0.4144, 0.0481], [0.0910, 0.9134, 0.5165], [0.2434, 0.0833, 0.0500], [0.2566, 0.5833, 0.5500], [0.4090, 0.4134, 0.0165], [0.4231, 0.9144, 0.5481], [0.5769, 0.0856, 0.0481], [0.5910, 0.5866, 0.5165], [0.7434, 0.4167, 0.0500], [0.7566, 0.9167, 0.5500], [0.9090, 0.0866, 0.0165], [0.9231, 0.5856, 0.5481], [0.0011, 0.4404, 0.1141], [0.0568, 0.0713, 0.5020], [0.0684, 0.8097, 0.2943], [0.0753, 0.8389, 0.7769], [0.0845, 0.3070, 0.8166], [0.1070, 0.3450, 0.2965], [0.1087, 0.5706, 0.9893], [0.1673, 0.0621, 0.9835], [0.1677, 0.9387, 0.4793], [0.2260, 0.4257, 0.6150], [0.2263, 0.6438, 0.2963], [0.2462, 0.6965, 0.7727], [0.2538, 0.1965, 0.2727], [0.2737, 0.1438, 0.7963], [0.2740, 0.9257, 0.1150], [0.3323, 0.4387, 0.9793], [0.3327, 0.5621, 0.4835], [0.3913, 0.0706, 0.4893], [0.3930, 0.8450, 0.7965], [0.4155, 0.8070, 0.3166], [0.4247, 0.3389, 0.2769], [0.4316, 0.3097, 0.7943], [0.4432, 0.5713, 0.0020], [0.4989, 0.9404, 0.6141], [0.5011, 0.0596, 0.1141], [0.5568, 0.4287, 0.5020], [0.5684, 0.6903, 0.2943], [0.5753, 0.6611, 0.7769], [0.5845, 0.1930, 0.8166], [0.6070, 0.1550, 0.2965], [0.6087, 0.9294, 0.9893], [0.6673, 0.4379, 0.9835], [0.6677, 0.5613, 0.4793], [0.7260, 0.0743, 0.6150], [0.7263, 0.8562, 0.2963], [0.7462, 0.8035, 0.7727], [0.7538, 0.3035, 0.2727], [0.7737, 0.3562, 0.7963], [0.7740, 0.5743, 0.1150], [0.8323, 0.0613, 0.9793], [0.8327, 0.9379, 0.4835], [0.8913, 0.4294, 0.4893], [0.8930, 0.6550, 0.7965], [0.9155, 0.6930, 0.3166], [0.9247, 0.1611, 0.2769], [0.9316, 0.1903, 0.7943], [0.9432, 0.9287, 0.0020], [0.9989, 0.5596, 0.6141]]
}

{
  "formula": "Ba2CuO3",
  "functional": "meta-GGA r2SCAN",
  "state": "relaxed",
  "sg": "No. 71",
  "formation_enthalpy_0k_kcal_per_mol_atoms": -49.085,
  "crystal_system": "orthorhombic",
  "magmom_total_mub_per_cell": 0.3,
  "e_tot_ev_per_cell": -94.53,
  "cell": [[-1.9167, 2.0639, 6.5527], [1.9167, -2.0639, 6.5527], [1.9167, 2.0639, -6.5527]],
  "species": ["Ba", "Ba", "Cu", "O", "O", "O"],
  "frac_coords": [[0.1454, 0.1454, 0.0000], [0.8546, 0.8546, 0.0000], [0.5000, 0.5000, 0.0000], [0.0000, 0.5000, 0.5000], [0.3533, 0.3533, 0.0000], [0.6467, 0.6467, 0.0000]]
}

{
  "formula": "LiHfIr2",
  "functional": "meta-GGA r2SCAN",
  "state": "relaxed",
  "sg": "No. 225",
  "formation_enthalpy_0k_kcal_per_mol_atoms": -17.931,
  "crystal_system": "cubic",
  "magmom_total_mub_per_cell": 0.0,
  "e_tot_ev_per_cell": -155.37,
  "cell": [[0.0000, 3.1063, 3.1063], [3.1063, 0.0000, 3.1063], [3.1063, 3.1063, 0.0000]],
  "species": ["Li", "Hf", "Ir", "Ir"],
  "frac_coords": [[0.0000, 0.0000, 0.0000], [0.5000, 0.5000, 0.5000], [0.2500, 0.2500, 0.2500], [0.7500, 0.7500, 0.7500]]
}

{
  "formula": "Er2Ti2O7",
  "functional": "meta-GGA r2SCAN",
  "state": "relaxed",
  "sg": "No. 227",
  "formation_enthalpy_0k_kcal_per_mol_atoms": -84.728,
  "crystal_system": "cubic",
  "magmom_total_mub_per_cell": 0.0,
  "e_tot_ev_per_cell": -351.90,
  "cell": [[0.0000, 5.0180, 5.0180], [5.0180, 0.0000, 5.0180], [5.0180, 5.0180, 0.0000]],
  "species": ["Er", "Er", "Er", "Er", "Ti", "Ti", "Ti", "Ti", "O", "O", "O", "O", "O", "O", "O", "O", "O", "O", "O", "O", "O", "O"],
  "frac_coords": [[0.0000, 0.0000, 0.0000], [0.0000, 0.0000, 0.5000], [0.0000, 0.5000, 0.0000], [0.5000, 0.0000, 0.0000], [0.0000, 0.5000, 0.5000], [0.5000, 0.0000, 0.5000], [0.5000, 0.5000, 0.0000], [0.5000, 0.5000, 0.5000], [0.1250, 0.1250, 0.1250], [0.1682, 0.1682, 0.5818], [0.1682, 0.5818, 0.1682], [0.1682, 0.5818, 0.5818], [0.4182, 0.4182, 0.8318], [0.4182, 0.8318, 0.4182], [0.4182, 0.8318, 0.8318], [0.5818, 0.1682, 0.1682], [0.5818, 0.1682, 0.5818], [0.5818, 0.5818, 0.1682], [0.8318, 0.4182, 0.4182], [0.8318, 0.4182, 0.8318], [0.8318, 0.8318, 0.4182], [0.8750, 0.8750, 0.8750]]
}

{
  "formula": "SrB6",
  "functional": "meta-GGA r2SCAN",
  "state": "relaxed",
  "sg": "No. 221",
  "formation_enthalpy_0k_kcal_per_mol_atoms": -11.969,
  "crystal_system": "cubic",
  "magmom_total_mub_per_cell": 0.0,
  "e_tot_ev_per_cell": -62.86,
  "cell": [[4.1902, 0.0000, 0.0000], [0.0000, 4.1902, 0.0000], [0.0000, 0.0000, 4.1902]],
  "species": ["Sr", "B", "B", "B", "B", "B", "B"],
  "frac_coords": [[0.0000, 0.0000, 0.0000], [0.2031, 0.5000, 0.5000], [0.5000, 0.2031, 0.5000], [0.5000, 0.5000, 0.2031], [0.5000, 0.5000, 0.7969], [0.5000, 0.7969, 0.5000], [0.7969, 0.5000, 0.5000]]
}

{
  "formula": "FeP4",
  "functional": "meta-GGA r2SCAN",
  "state": "relaxed",
  "sg": "No. 14",
  "formation_enthalpy_0k_kcal_per_mol_atoms": -7.630,
  "crystal_system": "monoclinic",
  "magmom_total_mub_per_cell": 0.0,
  "e_tot_ev_per_cell": -312.46,
  "cell": [[4.6076, 0.0000, 0.0000], [0.0000, 13.6176, 0.0000], [-1.3967, 0.0000, 6.8441]],
  "species": ["Fe", "Fe", "Fe", "Fe", "Fe", "Fe", "P", "P", "P", "P", "P", "P", "P", "P", "P", "P", "P", "P", "P", "P", "P", "P", "P", "P", "P", "P", "P", "P", "P", "P"],
  "frac_coords": [[0.0000, 0.0000, 0.0000], [0.0000, 0.5000, 0.5000], [0.1422, 0.1695, 0.3813], [0.1422, 0.3305, 0.8813], [0.8578, 0.6695, 0.1187], [0.8578, 0.8305, 0.6187], [0.0733, 0.7249, 0.8643], [0.0733, 0.7751, 0.3643], [0.1967, 0.5535, 0.2505], [0.1967, 0.9465, 0.7505], [0.2640, 0.6130, 0.6954], [0.2640, 0.8870, 0.1954], [0.3458, 0.1073, 0.1466], [0.3458, 0.3927, 0.6466], [0.3687, 0.0559, 0.5707], [0.3687, 0.4441, 0.0707], [0.4926, 0.2193, 0.9687], [0.4926, 0.2807, 0.4687], [0.5074, 0.7193, 0.5313], [0.5074, 0.7807, 0.0313], [0.6313, 0.5559, 0.9293], [0.6313, 0.9441, 0.4293], [0.6542, 0.6073, 0.3534], [0.6542, 0.8927, 0.8534], [0.7360, 0.1130, 0.8046], [0.7360, 0.3870, 0.3046], [0.8033, 0.0535, 0.2495], [0.8033, 0.4465, 0.7495], [0.9267, 0.2249, 0.6357], [0.9267, 0.2751, 0.1357]]
}

{
  "formula": "PuF4",
  "functional": "meta-GGA r2SCAN",
  "state": "relaxed",
  "sg": "No. 9",
  "formation_enthalpy_0k_kcal_per_mol_atoms": -90.771,
  "crystal_system": "monoclinic",
  "magmom_total_mub_per_cell": 24.0,
  "e_tot_ev_per_cell": -711.25,
  "cell": [[6.3044, -5.3602, 0.0000], [6.3044, 5.3602, 0.0000], [-4.9167, 0.0000, 6.6307]],
  "species": ["Pu", "Pu", "Pu", "Pu", "Pu", "Pu", "F", "F", "F", "F", "F", "F", "F", "F", "F", "F", "F", "F", "F", "F", "F", "F", "F", "F", "F", "F", "F", "F", "F", "F"],
  "frac_coords": [[0.0717, 0.9283, 0.5000], [0.0819, 0.5079, 0.9194], [0.5079, 0.0819, 0.4194], [0.5170, 0.6621, 0.8386], [0.6621, 0.5170, 0.3386], [0.9283, 0.0717, 0.0000], [0.0228, 0.3273, 0.0250], [0.0361, 0.7930, 0.9484], [0.0445, 0.9842, 0.7789], [0.1071, 0.7028, 0.2374], [0.1162, 0.2331, 0.7062], [0.2331, 0.1162, 0.2062], [0.2618, 0.5688, 0.8122], [0.2970, 0.7968, 0.6686], [0.3273, 0.0228, 0.5250], [0.3581, 0.4731, 0.1297], [0.4731, 0.3581, 0.6297], [0.4838, 0.8896, 0.0999], [0.5459, 0.6072, 0.5591], [0.5566, 0.7971, 0.3880], [0.5688, 0.2618, 0.3122], [0.6072, 0.5459, 0.0591], [0.6974, 0.8933, 0.9192], [0.7028, 0.1071, 0.7374], [0.7930, 0.0361, 0.4484], [0.7968, 0.2970, 0.1686], [0.7971, 0.5566, 0.8880], [0.8896, 0.4838, 0.5999], [0.8933, 0.6974, 0.4192], [0.9842, 0.0445, 0.2789]]
}